{
  "formula": "MgCrS2",
  "functional": "PBE",
  "state": "optimized geometry",
  "rho_g_cm3": 1.7,
  "e_form_kcal_per_mol_atoms": -6.97,
  "total_energy_ev_per_cell": -39.46,
  "lattice": [[6.760, 0.000, 0.000], [0.000, 5.892, 0.000], [-3.100, 0.000, 6.813]],
  "species": ["Mg", "Mg", "Cr", "Cr", "S", "S", "S", "S"],
  "fractional_positions": [[0.000, 0.000, 0.000], [0.500, 0.500, 0.000], [0.000, 0.500, 0.000], [0.500, 0.000, 0.000], [0.136, 0.500, 0.775], [0.364, 0.000, 0.225], [0.636, 0.000, 0.775], [0.864, 0.500, 0.225]]
}